The following is a DFT calculation (PBE) of a relaxed TiH8C4NO10 crystal.

Calculated values
Its total DFT energy (no corrections) is -6.57 eV per atom. As for the formation energy: -1.4542 eV/atom.

Cell lengths 8.9725, 8.9725, 11.0190 Å; angles 90.00, 90.00, 120.00 degrees
Atoms (fractional coordinates):
Ti 0.0000 0.5000 0.3333
Ti 0.5000 0.0000 0.0000
Ti 0.5000 0.5000 0.6667
H 0.0252 0.1046 0.7210
H 0.0252 0.9206 0.9456
H 0.0794 0.1046 0.2790
H 0.0794 0.9748 0.3877
H 0.1012 0.3614 0.8199
H 0.1012 0.7398 0.8468
H 0.1046 0.0252 0.6123
H 0.1046 0.0794 0.0544
H 0.2602 0.3614 0.1801
H 0.2602 0.8988 0.4865
H 0.3614 0.1012 0.5135
H 0.3614 0.2602 0.1532
H 0.6386 0.7398 0.1532
H 0.6386 0.8988 0.5135
H 0.7398 0.1012 0.4865
H 0.7398 0.6386 0.1801
H 0.8954 0.9206 0.0544
H 0.8954 0.9748 0.6123
H 0.8988 0.2602 0.8468
H 0.8988 0.6386 0.8199
H 0.9206 0.0252 0.3877
H 0.9206 0.8954 0.2790
H 0.9748 0.0794 0.9456
H 0.9748 0.8954 0.7210
C 0.2143 0.4286 0.5000
C 0.2143 0.7857 0.1667
C 0.3107 0.6214 0.5000
C 0.3107 0.6893 0.1667
C 0.3786 0.6893 0.8333
C 0.4286 0.2143 0.8333
C 0.5714 0.7857 0.8333
C 0.6214 0.3107 0.8333
C 0.6893 0.3107 0.1667
C 0.6893 0.3786 0.5000
C 0.7857 0.2143 0.1667
C 0.7857 0.5714 0.5000
N 0.0000 0.0000 0.0000
N 0.0000 0.0000 0.3333
N 0.0000 0.0000 0.6667
O 0.0000 0.2466 0.8333
O 0.0000 0.7534 0.8333
O 0.0773 0.3546 0.4373
O 0.0773 0.7227 0.2293
O 0.2400 0.5477 0.2247
O 0.2400 0.6923 0.4420
O 0.2466 0.0000 0.5000
O 0.2466 0.2466 0.1667
O 0.2773 0.3546 0.5627
O 0.2773 0.9227 0.1040
O 0.3077 0.5477 0.7753
O 0.3077 0.7600 0.8914
O 0.3546 0.0773 0.8960
O 0.3546 0.2773 0.7707
O 0.4523 0.6923 0.5580
O 0.4523 0.7600 0.1086
O 0.5477 0.2400 0.1086
O 0.5477 0.3077 0.5580
O 0.6454 0.7227 0.7707
O 0.6454 0.9227 0.8960
O 0.6923 0.2400 0.8914
O 0.6923 0.4523 0.7753
O 0.7227 0.0773 0.1040
O 0.7227 0.6454 0.5627
O 0.7534 0.0000 0.5000
O 0.7534 0.7534 0.1667
O 0.7600 0.3077 0.4420
O 0.7600 0.4523 0.2247
O 0.9227 0.2773 0.2293
O 0.9227 0.6454 0.4373

The following is a DFT calculation (PBE) of a relaxed NaY2Ga2PS5O24 crystal.

Calculated values
Its total DFT energy (no corrections) is -6.61 eV per atom. As for the formation energy: -2.3636 eV/atom.

Cell lengths 8.7801, 8.7825, 23.3014 Å; angles 90.01, 90.06, 119.86 degrees
Atoms (fractional coordinates):
Na 0.0000 0.0000 0.0000
Na 0.0203 0.0004 0.5015
Na 0.3440 0.6567 0.1598
Y 0.0058 0.0022 0.1429
Y 0.0179 0.0026 0.3563
Y 0.3445 0.6614 0.0127
Y 0.3468 0.6748 0.3197
Y 0.6834 0.3407 0.1823
Y 0.6853 0.3411 0.9716
Ga 0.0111 0.0017 0.8409
Ga 0.0115 0.0023 0.6508
Ga 0.3426 0.6745 0.5178
Ga 0.3458 0.6687 0.8090
Ga 0.6725 0.3282 0.4828
Ga 0.6784 0.3357 0.6801
P 0.3580 0.9699 0.4250
P 0.6775 0.6333 0.0785
P 0.9782 0.3367 0.0785
S 0.0104 0.2919 0.7458
S 0.0171 0.7064 0.2485
S 0.0444 0.3819 0.4245
S 0.0633 0.6882 0.9040
S 0.3031 0.0034 0.7457
S 0.3088 0.3028 0.2487
S 0.3267 0.3648 0.9036
S 0.3829 0.0380 0.0785
S 0.3875 0.3346 0.5821
S 0.6321 0.6547 0.4245
S 0.6459 0.9520 0.9041
S 0.6822 0.0470 0.5826
S 0.7106 0.9974 0.2496
S 0.7221 0.7105 0.7457
S 0.9650 0.6236 0.5819
O 0.0040 0.1763 0.0782
O 0.0058 0.7972 0.3005
O 0.0218 0.2030 0.4199
O 0.0377 0.8097 0.1965
O 0.0458 0.8480 0.8956
O 0.0510 0.2135 0.6946
O 0.1162 0.4772 0.3702
O 0.1403 0.6408 0.5732
O 0.1531 0.6603 0.8542
O 0.1578 0.5055 0.0768
O 0.1649 0.7205 0.9574
O 0.1658 0.1891 0.8952
O 0.1673 0.4674 0.4735
O 0.1671 0.4670 0.7562
O 0.1746 0.6864 0.2516
O 0.1842 0.9628 0.6944
O 0.1925 0.9895 0.4208
O 0.2049 0.2197 0.1966
O 0.2075 0.0208 0.0802
O 0.2088 0.1728 0.5909
O 0.2175 0.2009 0.3007
O 0.2250 0.0422 0.7967
O 0.2928 0.4338 0.9570
O 0.3221 0.8426 0.4760
O 0.3219 0.8464 0.7560
O 0.3272 0.4794 0.2522
O 0.3555 0.4835 0.8541
O 0.3650 0.8625 0.0756
O 0.3680 0.4908 0.5724
O 0.3834 0.8947 0.3687
O 0.4653 0.2962 0.5313
O 0.4705 0.1401 0.0267
O 0.4779 0.1613 0.7348
O 0.4794 0.1187 0.1318
O 0.4802 0.3149 0.2463
O 0.4816 0.3453 0.9095
O 0.5000 0.3674 0.6343
O 0.5173 0.6599 0.0770
O 0.5233 0.1495 0.4340
O 0.5270 0.8712 0.5734
O 0.5294 0.8620 0.8541
O 0.5345 0.6264 0.3703
O 0.5355 0.8368 0.2519
O 0.5422 0.6845 0.4736
O 0.5466 0.6919 0.7561
O 0.5762 0.8498 0.9574
O 0.6483 0.1266 0.6345
O 0.6522 0.4997 0.4333
O 0.6591 0.5319 0.1338
O 0.6626 0.1255 0.9095
O 0.6841 0.5380 0.0240
O 0.6929 0.1533 0.2465
O 0.7055 0.5355 0.7349
O 0.7213 0.1626 0.5317
O 0.7940 0.9770 0.1975
O 0.8003 0.8290 0.6945
O 0.8076 0.8150 0.4197
O 0.8136 0.0096 0.3014
O 0.8233 0.9688 0.8959
O 0.8389 0.7883 0.7968
O 0.8442 0.0294 0.5916
O 0.8465 0.8127 0.0787
O 0.8495 0.5453 0.5308
O 0.8521 0.3089 0.7349
O 0.8586 0.5345 0.2469
O 0.8709 0.3206 0.0244
O 0.8737 0.3714 0.4336
O 0.8858 0.5125 0.6342
O 0.8891 0.5321 0.9088
O 0.8908 0.3455 0.1342
O 0.9714 0.1750 0.7968
O 0.9838 0.8034 0.5904

The following is a DFT calculation (PBE) of a relaxed K2Li3GaO4 crystal.

Calculated values
Its total DFT energy (no corrections) is -4.86 eV per atom. As for the formation energy: -2.0564 eV/atom.

Cell lengths 5.6083, 8.9085, 11.0739 Å; angles 90.00, 111.23, 90.00 degrees
Atoms (fractional coordinates):
K 0.2090 0.0072 0.3627
K 0.2090 0.4928 0.8627
K 0.2201 0.2279 0.6092
K 0.2201 0.2721 0.1092
K 0.7799 0.7279 0.8908
K 0.7799 0.7721 0.3908
K 0.7910 0.5072 0.1373
K 0.7910 0.9928 0.6373
Li 0.1172 0.7385 0.7010
Li 0.1172 0.7615 0.2010
Li 0.1285 0.0090 0.9301
Li 0.1285 0.4910 0.4301
Li 0.4066 0.5353 0.2972
Li 0.4066 0.9647 0.7972
Li 0.5934 0.0353 0.2028
Li 0.5934 0.4647 0.7028
Li 0.8715 0.5090 0.5699
Li 0.8715 0.9910 0.0699
Li 0.8828 0.2385 0.7990
Li 0.8828 0.2615 0.2990
Ga 0.3972 0.7114 0.5635
Ga 0.3972 0.7886 0.0635
Ga 0.6028 0.2114 0.9365
Ga 0.6028 0.2886 0.4365
O 0.2416 0.5514 0.6235
O 0.2416 0.9486 0.1235
O 0.2495 0.1778 0.8576
O 0.2495 0.3222 0.3576
O 0.2675 0.6899 0.3818
O 0.2675 0.8101 0.8818
O 0.2825 0.6090 0.1150
O 0.2825 0.8910 0.6150
O 0.7175 0.1090 0.3850
O 0.7175 0.3910 0.8850
O 0.7325 0.1899 0.1182
O 0.7325 0.3101 0.6182
O 0.7505 0.6778 0.6424
O 0.7505 0.8222 0.1424
O 0.7584 0.0514 0.8765
O 0.7584 0.4486 0.3765

Number 1: calculated volume 768.2 Å³/cell. Number 2: calculated volume 1558.2 Å³/cell. Number 3: calculated volume 515.7 Å³/cell.